# 1
VASP calculation (GGA+U) on crystalline CaPrMo2O6 at its relaxed geometry.

abc: 5.599 5.897 9.742
angles: 90.00 124.63 90.00
Sites, in units of the cell vectors:
Ca  0.000  0.194  0.000
Ca  0.000  0.806  0.500
Pr  0.535  0.308  0.499
Pr  0.535  0.692  0.999
Mo  0.268  0.248  0.750
Mo  0.268  0.752  0.250
Mo  0.766  0.246  0.249
Mo  0.766  0.754  0.749
O  0.008  0.446  0.197
O  0.008  0.554  0.697
O  0.119  0.202  0.492
O  0.119  0.798  0.992
O  0.414  0.294  0.007
O  0.414  0.706  0.507
O  0.523  0.054  0.302
O  0.523  0.946  0.802
O  0.634  0.454  0.812
O  0.634  0.546  0.312
O  0.899  0.049  0.687
O  0.899  0.951  0.187

Calculated values
ΔE_f ... -2732.8 meV per atom
Calculated total energy ... -149.93 eV per cell

# 2
VASP calculation (GGA+U) on crystalline Ca3Si4Mo2O14 at its relaxed geometry.

abc: 9.608 9.608 10.293
angles: 120.47 120.47 48.05
Sites, in units of the cell vectors:
Ca  0.166  0.834  0.750
Ca  0.258  0.339  0.536
Ca  0.339  0.258  0.036
Ca  0.661  0.742  0.964
Ca  0.742  0.661  0.464
Ca  0.834  0.166  0.250
Si  0.021  0.720  0.350
Si  0.030  0.612  0.844
Si  0.280  0.979  0.150
Si  0.388  0.970  0.656
Si  0.612  0.030  0.344
Si  0.720  0.021  0.850
Si  0.970  0.388  0.156
Si  0.979  0.280  0.650
Mo  0.295  0.705  0.250
Mo  0.500  0.500  0.000
Mo  0.500  0.500  0.500
Mo  0.705  0.295  0.750
O  0.001  0.444  0.818
O  0.024  0.603  0.682
O  0.025  0.860  0.309
O  0.140  0.975  0.191
O  0.162  0.178  0.093
O  0.178  0.162  0.593
O  0.201  0.621  0.493
O  0.223  0.573  0.992
O  0.379  0.799  0.007
O  0.397  0.976  0.818
O  0.419  0.430  0.262
O  0.427  0.777  0.508
O  0.430  0.419  0.762
O  0.444  0.001  0.318
O  0.556  0.999  0.682
O  0.570  0.581  0.238
O  0.573  0.223  0.492
O  0.581  0.570  0.738
O  0.603  0.024  0.182
O  0.621  0.201  0.993
O  0.777  0.427  0.008
O  0.799  0.379  0.507
O  0.822  0.838  0.407
O  0.838  0.822  0.907
O  0.860  0.025  0.809
O  0.975  0.140  0.691
O  0.976  0.397  0.318
O  0.999  0.556  0.182

Calculated values
ΔE_f ... -3010.1 meV per atom
Calculated total energy ... -343.78 eV per cell

# 3
VASP calculation (GGA+U) on crystalline CaSm4Mo4O14 at its relaxed geometry.

abc: 7.596 7.596 7.717
angles: 119.40 119.40 60.19
Sites, in units of the cell vectors:
Ca  0.000  0.000  0.000
Sm  0.255  0.727  0.704
Sm  0.722  0.722  0.700
Sm  0.727  0.255  0.704
Sm  0.746  0.746  0.242
Mo  0.254  0.254  0.773
Mo  0.256  0.747  0.266
Mo  0.259  0.259  0.274
Mo  0.747  0.256  0.266
O  0.147  0.147  0.918
O  0.155  0.607  0.942
O  0.156  0.596  0.344
O  0.347  0.902  0.593
O  0.353  0.353  0.613
O  0.354  0.919  0.210
O  0.584  0.584  0.339
O  0.596  0.156  0.344
O  0.607  0.155  0.942
O  0.626  0.626  0.875
O  0.872  0.872  0.629
O  0.902  0.347  0.593
O  0.919  0.354  0.210
O  0.931  0.931  0.217

Calculated values
ΔE_f ... -2799.5 meV per atom
Calculated total energy ... -175.50 eV per cell

# 4
VASP calculation (GGA+U) on crystalline CaSm4Mo4O14 at its relaxed geometry.

abc: 7.616 7.623 7.685
angles: 60.93 60.82 60.80
Sites, in units of the cell vectors:
Ca  0.000  0.000  0.000
Sm  0.363  0.861  0.371
Sm  0.386  0.365  0.342
Sm  0.404  0.323  0.844
Sm  0.882  0.404  0.300
Mo  0.410  0.846  0.835
Mo  0.866  0.837  0.394
Mo  0.873  0.400  0.827
Mo  0.878  0.862  0.832
O  0.208  0.811  0.756
O  0.226  0.196  0.761
O  0.227  0.767  0.189
O  0.258  0.235  0.213
O  0.507  0.490  0.478
O  0.537  0.947  0.511
O  0.542  0.535  0.929
O  0.556  0.939  0.916
O  0.779  0.184  0.793
O  0.785  0.220  0.194
O  0.790  0.781  0.175
O  0.973  0.508  0.499
O  0.979  0.923  0.527
O  0.980  0.542  0.916

Calculated values
ΔE_f ... -2726.6 meV per atom
Calculated total energy ... -173.82 eV per cell